[1]
Here is an optimized crystal structure of GdAgSe2 from Materials Project. Energies are from PBE.

Geometry as CIF:
```
data_GdAgSe2
_chemical_formula_sum 'Gd4 Ag4 Se8'
_cell_length_a 5.7376
_cell_length_b 5.7376
_cell_length_c 12.3538
_cell_angle_alpha 90.00
_cell_angle_beta 90.00
_cell_angle_gamma 90.00
_symmetry_space_group_name_H-M 'I 41 m d'
_symmetry_Int_Tables_number 109
_symmetry_space_group_name_Hall 'I 4bw -2'
loop_
_atom_site_label
_atom_site_fract_x
_atom_site_fract_y
_atom_site_fract_z
Gd1 0.0000 0.0000 0.0000
Ag1 0.0000 0.0000 0.4721
Se1 0.0000 0.0000 0.2376
Se2 0.0000 0.0000 0.7656
```

Mass density   6.91 g cm⁻³
Energy of formation   -5.7 eV/f.u.
MP2020-corrected energy   -7.401 eV per atom

***

[2]
Here is an optimized crystal structure of GdSiAg from Materials Project. Energies are from PBE.

Geometry as CIF:
```
data_GdSiAg
_chemical_formula_sum 'Gd3 Si3 Ag3'
_cell_length_a 7.1463
_cell_length_b 7.1463
_cell_length_c 4.2415
_cell_angle_alpha 90.00
_cell_angle_beta 90.00
_cell_angle_gamma 120.00
_symmetry_space_group_name_H-M 'P -6 2 m'
_symmetry_Int_Tables_number 189
_symmetry_space_group_name_Hall 'P -6 -2'
loop_
_atom_site_label
_atom_site_fract_x
_atom_site_fract_y
_atom_site_fract_z
Gd1 0.0000 0.4169 0.0000
Si1 0.0000 0.0000 0.0000
Si2 0.3333 0.6667 0.5000
Ag1 0.0000 0.7495 0.5000
```

Mass density   7.79 g cm⁻³
Energy of formation   -1.7 eV/f.u.

***

[3]
Here is an optimized crystal structure of GdSi2Ag2 from Materials Project. Energies are from PBE.

Geometry as CIF:
```
data_GdSi2Ag2
_chemical_formula_sum 'Gd2 Si4 Ag4'
_cell_length_a 4.1964
_cell_length_b 4.1964
_cell_length_c 10.7596
_cell_angle_alpha 90.00
_cell_angle_beta 90.00
_cell_angle_gamma 90.00
_symmetry_space_group_name_H-M 'I 4/m m m'
_symmetry_Int_Tables_number 139
_symmetry_space_group_name_Hall '-I 4 2'
loop_
_atom_site_label
_atom_site_fract_x
_atom_site_fract_y
_atom_site_fract_z
Gd1 0.0000 0.0000 0.0000
Si1 0.0000 0.0000 0.3928
Ag1 0.0000 0.5000 0.2500
```

Mass density   7.52 g cm⁻³
Energy of formation   -2.1 eV/f.u.

***

[4]
Here is an optimized crystal structure of SmGdAg2 from Materials Project. Energies are from PBE.

Geometry as CIF:
```
data_SmGdAg2
_chemical_formula_sum 'Sm4 Gd4 Ag8'
_cell_length_a 7.3786
_cell_length_b 7.3786
_cell_length_c 7.3786
_cell_angle_alpha 90.00
_cell_angle_beta 90.00
_cell_angle_gamma 90.00
_symmetry_space_group_name_H-M 'F m -3 m'
_symmetry_Int_Tables_number 225
_symmetry_space_group_name_Hall '-F 4 2 3'
loop_
_atom_site_label
_atom_site_fract_x
_atom_site_fract_y
_atom_site_fract_z
Sm1 0.0000 0.0000 0.0000
Gd1 0.0000 0.0000 0.5000
Ag1 0.2500 0.2500 0.2500
```

Mass density   8.65 g cm⁻³
Energy of formation   -1.2 eV/f.u.

***

[5]
Here is an optimized crystal structure of GdAgSn2 from Materials Project. Energies are from PBE.

Geometry as CIF:
```
data_GdAgSn2
_chemical_formula_sum 'Gd1 Ag1 Sn2'
_cell_length_a 4.6948
_cell_length_b 4.6948
_cell_length_c 4.4084
_cell_angle_alpha 90.00
_cell_angle_beta 90.00
_cell_angle_gamma 90.00
_symmetry_space_group_name_H-M 'P 4/m m m'
_symmetry_Int_Tables_number 123
_symmetry_space_group_name_Hall '-P 4 2'
loop_
_atom_site_label
_atom_site_fract_x
_atom_site_fract_y
_atom_site_fract_z
Gd1 0.0000 0.0000 0.0000
Ag1 0.5000 0.5000 0.0000
Sn1 0.0000 0.5000 0.5000
```

Mass density   8.59 g cm⁻³
Energy of formation   -1.8 eV/f.u.

***

[6]
Here is an optimized crystal structure of Gd2TlAg from Materials Project. Energies are from PBE.

Geometry as CIF:
```
data_Gd2TlAg
_chemical_formula_sum 'Gd8 Tl4 Ag4'
_cell_length_a 7.5031
_cell_length_b 7.5031
_cell_length_c 7.5031
_cell_angle_alpha 90.00
_cell_angle_beta 90.00
_cell_angle_gamma 90.00
_symmetry_space_group_name_H-M 'F m -3 m'
_symmetry_Int_Tables_number 225
_symmetry_space_group_name_Hall '-F 4 2 3'
loop_
_atom_site_label
_atom_site_fract_x
_atom_site_fract_y
_atom_site_fract_z
Gd1 0.2500 0.2500 0.2500
Tl1 0.0000 0.0000 0.0000
Ag1 0.0000 0.0000 0.5000
```

Mass density   9.86 g cm⁻³
Energy of formation   -1.4 eV/f.u.

***

[7]
Here is an optimized crystal structure of AgGe3 from Materials Project. Energies are from PBE.

Geometry as CIF:
```
data_AgGe3
_chemical_formula_sum 'Ag2 Ge6'
_cell_length_a 4.2040
_cell_length_b 4.2040
_cell_length_c 8.9240
_cell_angle_alpha 90.00
_cell_angle_beta 90.00
_cell_angle_gamma 90.00
_symmetry_space_group_name_H-M 'I 4/m m m'
_symmetry_Int_Tables_number 139
_symmetry_space_group_name_Hall '-I 4 2'
loop_
_atom_site_label
_atom_site_fract_x
_atom_site_fract_y
_atom_site_fract_z
Ag1 0.0000 0.0000 0.0000
Ge1 0.0000 0.0000 0.5000
Ge2 0.0000 0.5000 0.2500
```

Mass density   6.86 g cm⁻³
Energy of formation   1.1 eV/f.u.

***

[8]
Here is an optimized crystal structure of Ag4HgGe2S7 from Materials Project. Energies are from PBE.

Geometry as CIF:
```
data_Ag4HgGe2S7
_chemical_formula_sum 'Ag16 Hg4 Ge8 S28'
_cell_length_a 17.8321
_cell_length_b 6.9488
_cell_length_c 10.6626
_cell_angle_alpha 90.00
_cell_angle_beta 93.09
_cell_angle_gamma 90.00
_symmetry_space_group_name_H-M 'C 1 c 1'
_symmetry_Int_Tables_number 9
_symmetry_space_group_name_Hall 'C -2yc'
loop_
_atom_site_label
_atom_site_fract_x
_atom_site_fract_y
_atom_site_fract_z
Ag1 0.0000 0.1264 0.0000
Ag2 0.2213 0.3247 0.0554
Ag3 0.2900 0.1744 0.4417
Ag4 0.4375 0.1823 0.1524
Hg1 0.0750 0.3161 0.3418
Ge1 0.1528 0.1724 0.7252
Ge2 0.3624 0.3270 0.7992
S1 0.0604 0.1919 0.5733
S2 0.1107 0.3203 0.8958
S3 0.1882 0.1356 0.2592
S4 0.2564 0.3309 0.6512
S5 0.3371 0.1710 0.9723
S6 0.3911 0.3671 0.3375
S7 0.4555 0.1822 0.6957
```

Mass density   5.04 g cm⁻³
Energy of formation   -6.5 eV/f.u.
MP2020-corrected energy   -4.027 eV per atom

***

[9]
Here is an optimized crystal structure of Ag6HgGeSe6 from Materials Project. Energies are from PBE.

Geometry as CIF:
```
data_Ag6HgGeSe6
_chemical_formula_sum 'Ag12 Hg2 Ge2 Se12'
_cell_length_a 8.2484
_cell_length_b 7.7932
_cell_length_c 11.1117
_cell_angle_alpha 90.00
_cell_angle_beta 90.00
_cell_angle_gamma 90.00
_symmetry_space_group_name_H-M 'P m n 21'
_symmetry_Int_Tables_number 31
_symmetry_space_group_name_Hall 'P 2ac -2'
loop_
_atom_site_label
_atom_site_fract_x
_atom_site_fract_y
_atom_site_fract_z
Ag1 0.0000 0.0965 0.0000
Ag2 0.0000 0.2574 0.5343
Ag3 0.2153 0.5873 0.1889
Ag4 0.2443 0.0302 0.7412
Hg1 0.0000 0.5510 0.8760
Ge1 0.0000 0.7469 0.4969
Se1 0.0000 0.0017 0.3792
Se2 0.0000 0.2508 0.7715
Se3 0.0000 0.5042 0.3691
Se4 0.0000 0.7626 0.0468
Se5 0.2410 0.7436 0.6170
```

Mass density   6.48 g cm⁻³
Energy of formation   -4.7 eV/f.u.
MP2020-corrected energy   -3.403 eV per atom

***

[10]
Here is an optimized crystal structure of HoAgGe from Materials Project. Energies are from PBE.

Geometry as CIF:
```
data_HoAgGe
_chemical_formula_sum 'Ho3 Ag3 Ge3'
_cell_length_a 7.3431
_cell_length_b 7.3431
_cell_length_c 4.1136
_cell_angle_alpha 90.00
_cell_angle_beta 90.00
_cell_angle_gamma 120.00
_symmetry_space_group_name_H-M 'P -6 2 m'
_symmetry_Int_Tables_number 189
_symmetry_space_group_name_Hall 'P -6 -2'
loop_
_atom_site_label
_atom_site_fract_x
_atom_site_fract_y
_atom_site_fract_z
Ho1 0.0000 0.6033 0.0000
Ag1 0.0000 0.0000 0.0000
Ag2 0.3333 0.6667 0.5000
Ge1 0.0000 0.2678 0.5000
```

Mass density   8.96 g cm⁻³
Energy of formation   -1.2 eV/f.u.

***

[11]
Here is an optimized crystal structure of In2Ag2GeS6 from Materials Project. Energies are from PBE.

Geometry as CIF:
```
data_In2Ag2GeS6
_chemical_formula_sum 'In8 Ag8 Ge4 S24'
_cell_length_a 12.4273
_cell_length_b 7.3895
_cell_length_c 12.4126
_cell_angle_alpha 90.00
_cell_angle_beta 109.57
_cell_angle_gamma 90.00
_symmetry_space_group_name_H-M 'C 1 c 1'
_symmetry_Int_Tables_number 9
_symmetry_space_group_name_Hall 'C -2yc'
loop_
_atom_site_label
_atom_site_fract_x
_atom_site_fract_y
_atom_site_fract_z
In1 0.0000 0.0615 0.0000
In2 0.3208 0.4075 0.6942
Ag1 0.1361 0.2908 0.3426
Ag2 0.3384 0.0844 0.9975
Ge1 0.0668 0.2317 0.7553
S1 0.1183 0.4786 0.6801
S2 0.1395 0.2530 0.9445
S3 0.1407 0.0084 0.1984
S4 0.3293 0.2640 0.5130
S5 0.3778 0.2608 0.1999
S6 0.4458 0.2761 0.8826
```

Mass density   4.39 g cm⁻³
Energy of formation   -7.3 eV/f.u.
MP2020-corrected energy   -4.354 eV per atom

***

[12]
Here is an optimized crystal structure of In2Ag2GeS6 from Materials Project. Energies are from PBE.

Geometry as CIF:
```
data_In2Ag2GeS6
_chemical_formula_sum 'In8 Ag8 Ge4 S24'
_cell_length_a 11.9282
_cell_length_b 9.4478
_cell_length_c 10.7371
_cell_angle_alpha 90.00
_cell_angle_beta 117.67
_cell_angle_gamma 90.00
_symmetry_space_group_name_H-M 'C 1 c 1'
_symmetry_Int_Tables_number 9
_symmetry_space_group_name_Hall 'C -2yc'
loop_
_atom_site_label
_atom_site_fract_x
_atom_site_fract_y
_atom_site_fract_z
In1 0.0000 0.0771 0.0000
In2 0.3356 0.3912 0.7745
Ag1 0.0088 0.4844 0.3064
Ag2 0.2442 0.2267 0.4785
Ge1 0.3068 0.2482 0.1045
S1 0.0953 0.1930 0.5941
S2 0.2185 0.0411 0.0055
S3 0.2361 0.4717 0.0295
S4 0.3902 0.1998 0.3336
S5 0.4288 0.1913 0.9996
S6 0.4918 0.2638 0.6996
```

Mass density   4.40 g cm⁻³
Energy of formation   -4.3 eV/f.u.
MP2020-corrected energy   -4.078 eV per atom